K3Nd3P4S16 PBE-GGA optimized geometry; energy with MP2020 corrections = -0.401 Ry/atom; total magnetization = 0.0040 μB per atom; calculated volume = 1460.36 Å³/cell; E_tot = -5.148 eV per atom; formation enthalpy at 0 K = -3514.9 kJ/mol of formula units
1.0
3.927 -9.158 1.717
9.730 0.174 -2.745
4.022 4.137 13.885
S K P Nd
32 6 8 6
direct
0.586 0.454 0.398
0.156 0.526 0.829
0.454 0.586 0.898
0.600 0.807 0.313
0.925 0.295 0.393
0.053 0.319 0.003
0.745 0.272 0.580
0.193 0.400 0.187
0.947 0.681 0.997
0.855 0.959 0.306
0.546 0.414 0.102
0.791 0.576 0.524
0.526 0.156 0.329
0.295 0.925 0.893
0.424 0.209 0.976
0.474 0.844 0.671
0.400 0.193 0.687
0.145 0.041 0.694
0.681 0.947 0.497
0.319 0.053 0.503
0.705 0.075 0.107
0.728 0.255 0.920
0.959 0.855 0.806
0.807 0.600 0.813
0.414 0.546 0.602
0.041 0.145 0.194
0.209 0.424 0.476
0.844 0.474 0.171
0.255 0.728 0.420
0.576 0.791 0.024
0.272 0.745 0.080
0.075 0.705 0.607
0.608 0.971 0.838
0.971 0.608 0.338
0.029 0.392 0.662
0.000 0.000 0.000
0.000 0.000 0.500
0.392 0.029 0.162
0.963 0.668 0.860
0.397 0.765 0.976
0.765 0.397 0.476
0.037 0.332 0.140
0.332 0.037 0.640
0.235 0.603 0.524
0.668 0.963 0.360
0.603 0.235 0.024
0.251 0.749 0.750
0.487 0.252 0.512
0.749 0.251 0.250
0.513 0.748 0.488
0.748 0.513 0.988
0.252 0.487 0.012